No. 1
Computed, not measured: crystalline TiCo4 at its relaxed geometry at the PBE level of DFT.

## Properties
V = 13.63 Å³/atom
DFT total energy = -6.5378 eV/atom
M_tot = 0.800 μB per atom

Cell lengths 5.777, 5.777, 5.777 Å; angles 60.00, 60.00, 60.00 degrees
Atoms (fractional coordinates):
1 Ti 0.125 0.125 0.125
2 Ti 0.875 0.875 0.875
3 Co 0.276 0.276 0.276
4 Co 0.276 0.276 0.673
5 Co 0.276 0.673 0.276
6 Co 0.327 0.724 0.724
7 Co 0.673 0.276 0.276
8 Co 0.724 0.327 0.724
9 Co 0.724 0.724 0.327
10 Co 0.724 0.724 0.724

=====

No. 2
Computed, not measured: crystalline Pm3Al at its relaxed geometry at the PBE level of DFT.

## Properties
V = 29.09 Å³/atom
DFT total energy = -4.6813 eV/atom

Cell lengths 7.040, 7.040, 5.422 Å; angles 90.00, 90.00, 120.00 degrees
Atoms (fractional coordinates):
1 Pm 0.178 0.355 0.250
2 Pm 0.178 0.822 0.250
3 Pm 0.355 0.178 0.750
4 Pm 0.645 0.822 0.250
5 Pm 0.822 0.178 0.750
6 Pm 0.822 0.645 0.750
7 Al 0.333 0.667 0.750
8 Al 0.667 0.333 0.250

=====

No. 3
Computed, not measured: crystalline PmPu3 at its relaxed geometry at the PBE level of DFT.

## Properties
V = 29.03 Å³/atom
DFT total energy = -11.6626 eV/atom
M_tot = 4.470 μB per atom

Cell lengths 6.021, 6.021, 6.021 Å; angles 132.57, 132.57, 69.32 degrees
Atoms (fractional coordinates):
1 Pm 0.000 0.000 0.000
2 Pu 0.250 0.750 0.500
3 Pu 0.500 0.500 0.000
4 Pu 0.750 0.250 0.500

=====

No. 4
Computed, not measured: crystalline Ba3SrMgNb2O9 at its relaxed geometry at the PBE level of DFT.

## Properties
V = 16.44 Å³/atom
DFT total energy = -7.0848 eV/atom
energy with MP2020 corrections = -119.54 eV for the cell shown
M_tot = 0.000 μB per atom

Cell lengths 6.174, 6.313, 7.732 Å; angles 92.68, 90.21, 119.05 degrees
Atoms (fractional coordinates):
1 Ba 0.000 0.000 0.000
2 Ba 0.265 0.539 0.681
3 Ba 0.545 0.101 0.399
4 Sr 0.625 0.258 0.877
5 Mg 0.780 0.570 0.243
6 Nb 0.266 0.542 0.234
7 Nb 0.947 0.902 0.555
8 O 0.090 0.703 0.398
9 O 0.102 0.209 0.390
10 O 0.264 0.078 0.695
11 O 0.401 0.822 0.088
12 O 0.452 0.388 0.111
13 O 0.604 0.705 0.397
14 O 0.810 0.083 0.695
15 O 0.813 0.635 0.719
16 O 0.924 0.384 0.113

=====

No. 5
Computed, not measured: crystalline Nd2Sn5 at its relaxed geometry at the PBE level of DFT.

## Properties
V = 27.64 Å³/atom
DFT total energy = -4.7628 eV/atom

Cell lengths 17.897, 17.897, 4.684 Å; angles 90.00, 90.00, 165.05 degrees
Atoms (fractional coordinates):
1 Nd 0.068 0.932 0.000
2 Nd 0.202 0.798 0.000
3 Nd 0.798 0.202 0.000
4 Nd 0.932 0.068 0.000
5 Sn 0.000 0.000 0.500
6 Sn 0.138 0.862 0.500
7 Sn 0.279 0.721 0.500
8 Sn 0.363 0.637 0.000
9 Sn 0.429 0.571 0.500
10 Sn 0.500 0.500 0.000
11 Sn 0.571 0.429 0.500
12 Sn 0.637 0.363 0.000
13 Sn 0.721 0.279 0.500
14 Sn 0.862 0.138 0.500

=====

No. 6
Computed, not measured: crystalline Mg6Si5 at its relaxed geometry at the PBE level of DFT.

## Properties
V = 18.69 Å³/atom
DFT total energy = -3.2957 eV/atom
energy with MP2020 corrections = -71.80 eV for the cell shown
M_tot = 0.000 μB per atom

Cell lengths 7.068, 4.152, 14.034 Å; angles 90.00, 93.27, 90.00 degrees
Atoms (fractional coordinates):
1 Mg 0.000 0.000 0.000
2 Mg 0.007 0.000 0.220
3 Mg 0.148 0.500 0.851
4 Mg 0.189 0.500 0.351
5 Mg 0.230 0.000 0.518
6 Mg 0.287 0.500 0.106
7 Mg 0.444 0.000 0.775
8 Mg 0.625 0.000 0.105
9 Mg 0.633 0.500 0.933
10 Mg 0.652 0.000 0.602
11 Mg 0.686 0.500 0.286
12 Mg 0.916 0.500 0.540
13 Si 0.051 0.000 0.690
14 Si 0.285 0.500 0.658
15 Si 0.364 0.000 0.960
16 Si 0.385 0.000 0.244
17 Si 0.484 0.500 0.489
18 Si 0.552 0.000 0.398
19 Si 0.737 0.500 0.738
20 Si 0.847 0.000 0.824
21 Si 0.880 0.500 0.108
22 Si 0.903 0.000 0.402

=====

No. 7
Computed, not measured: crystalline Y3Si12Os4 at its relaxed geometry at the PBE level of DFT.

## Properties
V = 16.34 Å³/atom
DFT total energy = -7.3752 eV/atom

Cell lengths 10.149, 10.149, 8.179 Å; angles 90.00, 90.00, 47.50 degrees
Atoms (fractional coordinates):
1 Y 0.000 0.000 0.000
2 Y 0.002 0.498 0.250
3 Y 0.498 0.002 0.750
4 Y 0.500 0.500 0.500
5 Y 0.502 0.998 0.250
6 Y 0.998 0.502 0.750
7 Si 0.111 0.655 0.495
8 Si 0.114 0.121 0.728
9 Si 0.121 0.114 0.272
10 Si 0.155 0.611 0.995
11 Si 0.167 0.833 0.667
12 Si 0.205 0.205 0.500
13 Si 0.295 0.295 0.000
14 Si 0.333 0.667 0.167
15 Si 0.345 0.889 0.495
16 Si 0.379 0.386 0.772
17 Si 0.386 0.379 0.228
18 Si 0.389 0.845 0.995
19 Si 0.611 0.155 0.005
20 Si 0.614 0.621 0.772
21 Si 0.621 0.614 0.228
22 Si 0.655 0.111 0.505
23 Si 0.667 0.333 0.833
24 Si 0.705 0.705 0.000
25 Si 0.795 0.795 0.500
26 Si 0.833 0.167 0.333
27 Si 0.845 0.389 0.005
28 Si 0.879 0.886 0.728
29 Si 0.886 0.879 0.272
30 Si 0.889 0.345 0.505
31 Os 0.127 0.873 0.373
32 Os 0.169 0.169 0.000
33 Os 0.331 0.331 0.500
34 Os 0.373 0.627 0.873
35 Os 0.627 0.373 0.127
36 Os 0.669 0.669 0.500
37 Os 0.831 0.831 0.000
38 Os 0.873 0.127 0.627

=====

No. 8
Computed, not measured: crystalline SmMgS3 at its relaxed geometry at the PBE level of DFT.

## Properties
V = 27.13 Å³/atom
DFT total energy = -4.9846 eV/atom
energy with MP2020 corrections = -52.86 eV for the cell shown
M_tot = 0.200 μB per atom

Cell lengths 6.966, 6.966, 6.823 Å; angles 105.77, 105.77, 110.98 degrees
Atoms (fractional coordinates):
1 Sm 0.216 0.216 0.257
2 Sm 0.784 0.784 0.743
3 Mg 0.340 0.660 0.000
4 Mg 0.660 0.340 0.000
5 S 0.073 0.766 0.146
6 S 0.234 0.927 0.854
7 S 0.424 0.424 0.716
8 S 0.576 0.576 0.284
9 S 0.766 0.073 0.146
10 S 0.927 0.234 0.854

=====

No. 9
Computed, not measured: crystalline Ho3Si at its relaxed geometry at the PBE level of DFT.

## Properties
V = 24.57 Å³/atom
DFT total energy = -5.0329 eV/atom
energy with MP2020 corrections = -40.12 eV for the cell shown
M_tot = 0.001 μB per atom

Cell lengths 6.621, 6.621, 5.178 Å; angles 90.00, 90.00, 120.00 degrees
Atoms (fractional coordinates):
1 Ho 0.175 0.350 0.250
2 Ho 0.175 0.825 0.250
3 Ho 0.350 0.175 0.750
4 Ho 0.650 0.825 0.250
5 Ho 0.825 0.175 0.750
6 Ho 0.825 0.650 0.750
7 Si 0.333 0.667 0.750
8 Si 0.667 0.333 0.250

=====

No. 10
Computed, not measured: crystalline TaMn2 at its relaxed geometry at the PBE level of DFT.

## Properties
V = 13.19 Å³/atom
DFT total energy = -10.2842 eV/atom

Cell lengths 4.808, 4.808, 7.910 Å; angles 90.00, 90.00, 120.00 degrees
Atoms (fractional coordinates):
1 Ta 0.333 0.667 0.063
2 Ta 0.333 0.667 0.437
3 Ta 0.667 0.333 0.563
4 Ta 0.667 0.333 0.937
5 Mn 0.000 0.000 0.000
6 Mn 0.000 0.000 0.500
7 Mn 0.172 0.344 0.750
8 Mn 0.172 0.828 0.750
9 Mn 0.344 0.172 0.250
10 Mn 0.656 0.828 0.750
11 Mn 0.828 0.172 0.250
12 Mn 0.828 0.656 0.250

=====

No. 11
Computed, not measured: crystalline SrEr2O4 at its relaxed geometry at the PBE level of DFT.

## Properties
V = 21.82 Å³/atom
DFT total energy = -7.3552 eV/atom
energy with MP2020 corrections = -54.23 eV for the cell shown
M_tot = 0.000 μB per atom

Cell lengths 6.050, 3.232, 7.829 Å; angles 90.00, 93.80, 90.00 degrees
Atoms (fractional coordinates):
1 Sr 0.000 0.000 0.000
2 Er 0.141 0.500 0.472
3 Er 0.656 0.500 0.664
4 O 0.116 0.000 0.290
5 O 0.402 0.000 0.598
6 O 0.749 0.500 0.921
7 O 0.903 0.000 0.602

=====

No. 12
Computed, not measured: crystalline Nb6Al11Ir at its relaxed geometry at the PBE level of DFT.

## Properties
V = 15.87 Å³/atom
DFT total energy = -6.5719 eV/atom
M_tot = 0.000 μB per atom

Cell lengths 8.955, 8.955, 8.225 Å; angles 90.00, 90.00, 120.00 degrees
Atoms (fractional coordinates):
1 Nb 0.000 0.340 0.063
2 Nb 0.000 0.340 0.437
3 Nb 0.000 0.660 0.563
4 Nb 0.000 0.660 0.937
5 Nb 0.340 0.000 0.063
6 Nb 0.340 0.000 0.437
7 Nb 0.340 0.340 0.563
8 Nb 0.340 0.340 0.937
9 Nb 0.660 0.000 0.563
10 Nb 0.660 0.000 0.937
11 Nb 0.660 0.660 0.063
12 Nb 0.660 0.660 0.437
13 Al 0.000 0.166 0.750
14 Al 0.000 0.834 0.250
15 Al 0.161 0.491 0.750
16 Al 0.161 0.670 0.250
17 Al 0.166 0.000 0.750
18 Al 0.166 0.166 0.250
19 Al 0.330 0.491 0.250
20 Al 0.330 0.839 0.750
21 Al 0.333 0.667 0.000
22 Al 0.333 0.667 0.500
23 Al 0.491 0.161 0.750
24 Al 0.491 0.330 0.250
25 Al 0.509 0.670 0.750
26 Al 0.509 0.839 0.250
27 Al 0.667 0.333 0.000
28 Al 0.667 0.333 0.500
29 Al 0.670 0.161 0.250
30 Al 0.670 0.509 0.750
31 Al 0.834 0.000 0.250
32 Al 0.834 0.834 0.750
33 Al 0.839 0.330 0.750
34 Al 0.839 0.509 0.250
35 Ir 0.000 0.000 0.000
36 Ir 0.000 0.000 0.500

=====

Number 1: ΔH_f (0 K) 0.728 eV/atom. Number 2: ΔH_f (0 K) -0.182 eV/atom. Number 3: ΔH_f (0 K) 0.226 eV/atom. Number 4: ΔH_f (0 K) -2.860 eV/atom. Number 5: ΔH_f (0 K) -0.536 eV/atom. Number 6: ΔH_f (0 K) 0.075 eV/atom. Number 7: ΔH_f (0 K) -0.564 eV/atom. Number 8: ΔH_f (0 K) -1.541 eV/atom. Number 9: ΔH_f (0 K) -0.222 eV/atom. Number 10: ΔH_f (0 K) -0.224 eV/atom. Number 11: ΔH_f (0 K) -3.374 eV/atom. Number 12: ΔH_f (0 K) -0.425 eV/atom.